(1)
The following is a DFT calculation (GGA+U) of Li4V3Fe3Sb2O16 after structural relaxation.

Energy of formation ... -2.130 eV/atom
Total energy after the MP2020 corrections ... -7.4059 eV/atom
DFT total energy ... -6.589 eV per atom
Distance to the lowest polymorph of the same formula ... 27 meV/atom

Geometry as POSCAR:
```
Li4V3Fe3Sb2O16
1.0
5.9544 0.0472 0.0303
-2.9362 5.0966 0.0003
0.0482 0.0281 9.7790
Sb O Fe Li V
2 16 3 4 3
direct
0.6606 0.3299 0.9929
0.3315 0.6657 0.4898
0.6634 0.8313 0.5985
0.6852 0.3474 0.6036
0.3765 0.6895 0.1061
0.0403 0.5214 0.3504
0.9754 0.9853 0.7996
0.9681 0.4858 0.8466
0.5318 0.4914 0.8458
0.4906 0.5261 0.3467
0.8319 0.6647 0.0962
0.3260 0.1622 0.0934
0.8327 0.1661 0.0958
0.5326 0.0412 0.8451
0.9762 0.9872 0.2996
0.4910 0.9654 0.3468
0.1560 0.3261 0.5940
0.1574 0.8301 0.5949
0.1612 0.8129 0.2088
0.3353 0.1666 0.7123
0.1614 0.3482 0.2089
0.6726 0.3370 0.3975
0.3435 0.6723 0.8989
0.9966 0.9980 0.9896
0.9957 0.9972 0.4892
0.8249 0.1787 0.7160
0.6551 0.8276 0.2235
0.8264 0.6452 0.7175
```

(2)
The following is a DFT calculation (GGA+U) of Li4V3Fe3Sb2O16 after structural relaxation.

Energy of formation ... -2.157 eV/atom
Total energy after the MP2020 corrections ... -7.4329 eV/atom
DFT total energy ... -6.617 eV per atom
Distance to the lowest polymorph of the same formula ... 0 meV/atom

Geometry as POSCAR:
```
Li4V3Fe3Sb2O16
1.0
-0.0806 5.7187 1.8266
-3.4544 -4.0588 2.7746
7.1669 -1.8655 6.3838
Li O V Fe Sb
4 16 3 3 2
direct
0.6759 0.3412 0.3998
0.9949 0.9994 0.9896
0.9928 0.9939 0.4893
0.3437 0.6733 0.9019
0.3720 0.6986 0.1063
0.4939 0.5326 0.3487
0.5307 0.4893 0.8484
0.9752 0.9776 0.3005
0.9671 0.4914 0.8464
0.6582 0.8261 0.5965
0.6919 0.3670 0.6061
0.4895 0.9649 0.3455
0.1582 0.8272 0.5932
0.9743 0.9742 0.8006
0.0428 0.5321 0.3477
0.8305 0.6603 0.0971
0.1517 0.3255 0.5893
0.5351 0.0407 0.8482
0.3289 0.1560 0.0913
0.8303 0.1629 0.0943
0.6533 0.8268 0.2203
0.8264 0.6512 0.7196
0.8235 0.1701 0.7132
0.1687 0.3418 0.2108
0.1650 0.8240 0.2116
0.3366 0.1639 0.7113
0.3261 0.6617 0.4897
0.6630 0.3266 0.9906
```

(3)
The following is a DFT calculation (GGA+U) of Li4V2Fe3Sb3O16 after structural relaxation.

Energy of formation ... -1.963 eV/atom
Total energy after the MP2020 corrections ... -7.0615 eV/atom
DFT total energy ... -6.306 eV per atom

Geometry as POSCAR:
```
Li4V2Fe3Sb3O16
1.0
-0.9188 -4.5724 3.9865
4.5305 -0.4823 -4.1219
6.0873 4.4517 6.2171
O Sb V Li Fe
16 3 2 4 3
direct
0.0354 0.5219 0.3374
0.1715 0.3305 0.6005
0.3175 0.1572 0.1027
0.4659 0.5049 0.3395
0.6697 0.8426 0.5955
0.1802 0.8525 0.5974
0.6536 0.3188 0.6028
0.9577 0.4689 0.8442
0.8581 0.6871 0.1007
0.0160 0.0168 0.8074
0.5056 0.4610 0.8501
0.8562 0.1789 0.1012
0.4681 0.9602 0.3375
0.3148 0.6557 0.1006
0.0183 0.0119 0.3177
0.5200 0.0351 0.8398
0.1706 0.3390 0.2149
0.1700 0.8328 0.2139
0.3429 0.1707 0.7141
0.6943 0.3448 0.9759
0.3490 0.6795 0.4990
0.6491 0.3240 0.4013
0.9843 0.9905 0.5033
0.9732 0.9877 0.9877
0.3262 0.6598 0.8829
0.8330 0.1714 0.7129
0.8344 0.6642 0.7121
0.6646 0.8321 0.2148
```

Number 1: magnetic moment 15.00 μB per formula unit. Number 2: magnetic moment 15.00 μB per formula unit. Number 3: magnetic moment 13.81 μB per formula unit.